# 1
The following is a PBE with a Hubbard U calculation of crystalline Cr2CoH20N6ClO8 at its relaxed geometry, from the Materials Project.

Results
Space group   P2_1/c
ΔE_f   -809 meV/atom
Calculated density   1.96 g/cm3

a = 10.2090 Å, b = 9.5086 Å, c = 16.2658 Å
α = 90.00°, β = 112.40°, γ = 90.00°
With the nearest neighbours (Å) after each atom.
Sites, in units of the cell vectors:
Cr (0.0835, 0.0708, 0.2441)  4 O 1.63-1.80
Cr (0.0835, 0.4292, 0.7441)  4 O 1.63-1.80
Cr (0.2383, 0.2465, 0.9174)  4 O 1.63-1.79
Cr (0.2383, 0.2535, 0.4174)  4 O 1.63-1.79
Cr (0.7617, 0.7465, 0.5826)  4 O 1.63-1.79
Cr (0.7617, 0.7535, 0.0826)  4 O 1.63-1.79
Cr (0.9165, 0.5708, 0.2559)  4 O 1.63-1.80
Cr (0.9165, 0.9292, 0.7559)  4 O 1.63-1.80
Co (0.2889, 0.7485, 0.0604)  6 N 1.96-2.01
Co (0.2889, 0.7515, 0.5604)  6 N 1.96-2.01
Co (0.7111, 0.2485, 0.4396)  6 N 1.96-2.01
Co (0.7111, 0.2515, 0.9396)  6 N 1.96-2.01
H (0.0459, 0.6345, 0.4744)  1 N 1.03
H (0.0459, 0.8655, 0.9744)  1 N 1.03
H (0.0473, 0.6393, 0.9704)  1 N 1.03
H (0.0473, 0.8607, 0.4704)  1 N 1.03
H (0.1405, 0.0948, 0.6984)  1 O 0.98
H (0.1405, 0.4052, 0.1984)  1 O 0.98
H (0.1449, 0.5339, 0.5576)  1 N 1.03
H (0.1449, 0.9661, 0.0576)  1 N 1.03
H (0.1482, 0.5300, 0.0492)  1 N 1.03
H (0.1482, 0.9700, 0.5492)  1 N 1.03
H (0.1654, 0.6800, 0.6645)  1 N 1.03
H (0.1654, 0.8200, 0.1645)  1 N 1.03
H (0.1728, 0.5380, 0.4634)  1 N 1.03
H (0.1728, 0.9620, 0.9634)  1 N 1.03
H (0.1741, 0.5500, 0.9548)  1 N 1.03
H (0.1741, 0.9500, 0.4548)  1 N 1.03
H (0.1855, 0.6462, 0.1687)  1 N 1.03
H (0.1855, 0.8538, 0.6687)  1 N 1.03
H (0.2428, 0.1574, 0.6566)  1 O 0.99
H (0.2428, 0.3426, 0.1566)  1 O 0.99
H (0.2932, 0.6846, 0.9078)  1 N 1.03
H (0.2932, 0.8154, 0.4078)  1 N 1.03
H (0.3213, 0.6456, 0.4254)  1 N 1.03
H (0.3213, 0.8544, 0.9254)  1 N 1.03
H (0.3219, 0.7485, 0.2229)  1 N 1.03
H (0.3219, 0.7515, 0.7229)  1 N 1.03
H (0.3932, 0.5087, 0.6245)  1 N 1.03
H (0.3932, 0.9913, 0.1245)  1 N 1.03
H (0.3994, 0.0012, 0.6148)  1 N 1.03
H (0.3994, 0.4988, 0.1148)  1 N 1.03
H (0.4523, 0.7418, 0.9726)  1 N 1.03
H (0.4523, 0.7582, 0.4726)  1 N 1.03
H (0.4825, 0.6403, 0.6888)  1 N 1.04
H (0.4825, 0.8597, 0.1888)  1 N 1.04
H (0.4882, 0.0980, 0.4096)  1 N 1.03
H (0.4882, 0.4020, 0.9096)  1 N 1.03
H (0.4877, 0.6246, 0.1848)  1 N 1.04
H (0.4877, 0.8754, 0.6848)  1 N 1.04
H (0.4908, 0.0988, 0.9031)  1 N 1.03
H (0.4908, 0.4012, 0.4031)  1 N 1.03
H (0.5092, 0.5988, 0.5969)  1 N 1.03
H (0.5092, 0.9012, 0.0969)  1 N 1.03
H (0.5123, 0.1246, 0.3152)  1 N 1.04
H (0.5123, 0.3754, 0.8152)  1 N 1.04
H (0.5118, 0.5980, 0.0904)  1 N 1.03
H (0.5118, 0.9020, 0.5904)  1 N 1.03
H (0.5175, 0.1403, 0.8112)  1 N 1.04
H (0.5175, 0.3597, 0.3112)  1 N 1.04
H (0.5477, 0.2418, 0.5274)  1 N 1.03
H (0.5477, 0.2582, 0.0274)  1 N 1.03
H (0.6006, 0.5012, 0.8852)  1 N 1.03
H (0.6006, 0.9988, 0.3852)  1 N 1.03
H (0.6068, 0.0087, 0.8755)  1 N 1.03
H (0.6068, 0.4913, 0.3755)  1 N 1.03
H (0.6781, 0.2485, 0.2771)  1 N 1.03
H (0.6781, 0.2515, 0.7771)  1 N 1.03
H (0.6787, 0.1456, 0.0746)  1 N 1.03
H (0.6787, 0.3544, 0.5746)  1 N 1.03
H (0.7068, 0.1846, 0.5922)  1 N 1.03
H (0.7068, 0.3154, 0.0922)  1 N 1.03
H (0.7572, 0.6574, 0.8434)  1 O 0.99
H (0.7572, 0.8426, 0.3434)  1 O 0.99
H (0.8145, 0.1462, 0.3313)  1 N 1.03
H (0.8145, 0.3538, 0.8313)  1 N 1.03
H (0.8259, 0.0500, 0.5452)  1 N 1.03
H (0.8259, 0.4500, 0.0452)  1 N 1.03
H (0.8272, 0.0380, 0.0366)  1 N 1.03
H (0.8272, 0.4620, 0.5366)  1 N 1.03
H (0.8346, 0.1800, 0.8355)  1 N 1.03
H (0.8346, 0.3200, 0.3355)  1 N 1.03
H (0.8518, 0.0300, 0.4508)  1 N 1.03
H (0.8518, 0.4700, 0.9508)  1 N 1.03
H (0.8551, 0.0339, 0.9424)  1 N 1.03
H (0.8551, 0.4661, 0.4424)  1 N 1.03
H (0.8595, 0.5948, 0.8016)  1 O 0.98
H (0.8595, 0.9052, 0.3016)  1 O 0.98
H (0.9527, 0.1393, 0.5296)  1 N 1.03
H (0.9527, 0.3607, 0.0296)  1 N 1.03
H (0.9541, 0.1345, 0.0256)  1 N 1.03
H (0.9541, 0.3655, 0.5256)  1 N 1.03
N (0.1479, 0.5993, 0.5075)  3 H 1.03
N (0.1479, 0.9007, 0.0075)  3 H 1.03
N (0.1488, 0.6023, 0.0020)  3 H 1.03
N (0.1488, 0.8977, 0.5020)  3 H 1.03
N (0.2331, 0.7399, 0.1648)  3 H 1.03
N (0.2331, 0.7601, 0.6648)  3 H 1.03
N (0.3455, 0.7421, 0.4558)  3 H 1.03
N (0.3455, 0.7579, 0.9558)  3 H 1.03
N (0.4324, 0.6082, 0.6233)  3 H 1.03-1.04
N (0.4324, 0.8918, 0.1233)  3 H 1.03-1.04
N (0.4361, 0.6006, 0.1181)  3 H 1.03-1.04
N (0.4361, 0.8994, 0.6181)  3 H 1.03-1.04
N (0.5639, 0.1006, 0.3819)  3 H 1.03-1.04
N (0.5639, 0.3994, 0.8819)  3 H 1.03-1.04
N (0.5676, 0.1082, 0.8767)  3 H 1.03-1.04
N (0.5676, 0.3918, 0.3767)  3 H 1.03-1.04
N (0.6545, 0.2421, 0.0442)  3 H 1.03
N (0.6545, 0.2579, 0.5442)  3 H 1.03
N (0.7669, 0.2399, 0.3352)  3 H 1.03
N (0.7669, 0.2601, 0.8352)  3 H 1.03
N (0.8512, 0.1023, 0.4980)  3 H 1.03
N (0.8512, 0.3977, 0.9980)  3 H 1.03
N (0.8521, 0.0993, 0.9925)  3 H 1.03
N (0.8521, 0.4007, 0.4925)  3 H 1.03
Cl (0.4447, 0.2423, 0.1819)  4 H 2.16-2.30
Cl (0.4447, 0.2577, 0.6819)  4 H 2.16-2.30
Cl (0.5553, 0.7423, 0.3181)  4 H 2.16-2.30
Cl (0.5553, 0.7577, 0.8181)  4 H 2.16-2.30
O (0.0869, 0.5907, 0.2874)  1 Cr 1.63
O (0.0869, 0.9093, 0.7874)  1 Cr 1.63
O (0.1070, 0.2453, 0.9509)  1 Cr 1.63
O (0.1070, 0.2547, 0.4509)  1 Cr 1.63
O (0.1259, 0.0439, 0.1575)  1 Cr 1.64
O (0.1259, 0.4561, 0.6575)  1 Cr 1.64
O (0.1374, 0.5604, 0.8138)  1 Cr 1.63
O (0.1374, 0.9396, 0.3138)  1 Cr 1.63
O (0.1631, 0.0906, 0.6449)  2 H 0.98-0.99
O (0.1631, 0.4094, 0.1449)  2 H 0.98-0.99
O (0.1727, 0.2280, 0.2998)  2 Cr 1.79-1.80
O (0.1727, 0.2720, 0.7998)  2 Cr 1.79-1.80
O (0.3246, 0.0963, 0.9391)  1 Cr 1.64
O (0.3246, 0.4037, 0.4391)  1 Cr 1.64
O (0.3481, 0.1238, 0.4640)  1 Cr 1.64
O (0.3481, 0.3762, 0.9640)  1 Cr 1.64
O (0.6519, 0.6238, 0.0360)  1 Cr 1.64
O (0.6519, 0.8762, 0.5360)  1 Cr 1.64
O (0.6754, 0.5963, 0.5609)  1 Cr 1.64
O (0.6754, 0.9037, 0.0609)  1 Cr 1.64
O (0.8273, 0.7280, 0.2002)  2 Cr 1.79-1.80
O (0.8273, 0.7720, 0.7002)  2 Cr 1.79-1.80
O (0.8369, 0.5906, 0.8551)  2 H 0.98-0.99
O (0.8369, 0.9094, 0.3551)  2 H 0.98-0.99
O (0.8626, 0.0604, 0.6862)  1 Cr 1.63
O (0.8626, 0.4396, 0.1862)  1 Cr 1.63
O (0.8741, 0.5439, 0.3425)  1 Cr 1.64
O (0.8741, 0.9561, 0.8425)  1 Cr 1.64
O (0.8930, 0.7453, 0.5491)  1 Cr 1.63
O (0.8930, 0.7547, 0.0491)  1 Cr 1.63
O (0.9131, 0.0907, 0.2126)  1 Cr 1.63
O (0.9131, 0.4093, 0.7126)  1 Cr 1.63

***

# 2
The following is a PBE with a Hubbard U calculation of crystalline CoH20IN6Cl2O4 at its relaxed geometry, from the Materials Project.

Results
Space group   P2_1/c
ΔE_f   -607 meV/atom
Calculated density   2.05 g/cm3

a = 7.1805 Å, b = 14.1156 Å, c = 14.7333 Å
α = 90.00°, β = 112.95°, γ = 90.00°
With the nearest neighbours (Å) after each atom.
Sites, in units of the cell vectors:
Co (0.0000, 0.0000, 0.0000)  6 N 1.97-1.98
Co (0.0000, 0.0000, 0.5000)  6 N 1.96-1.98
Co (0.0000, 0.5000, 0.0000)  6 N 1.96-1.98
Co (0.0000, 0.5000, 0.5000)  6 N 1.97-1.98
H (0.0302, 0.1632, 0.4209)  1 N 1.03
H (0.0302, 0.3368, 0.9209)  1 N 1.03
H (0.0439, 0.6024, 0.6519)  1 N 1.03
H (0.0439, 0.8976, 0.1519)  1 N 1.03
H (0.0473, 0.0488, 0.6733)  1 N 1.03
H (0.0473, 0.4512, 0.1733)  1 N 1.03
H (0.0660, 0.1740, 0.5391)  1 N 1.04
H (0.0660, 0.3260, 0.0391)  1 N 1.04
H (0.0693, 0.6443, 0.4131)  1 N 1.04
H (0.0693, 0.8557, 0.9131)  1 N 1.04
H (0.1407, 0.0273, 0.3650)  1 N 1.04
H (0.1407, 0.4727, 0.8650)  1 N 1.04
H (0.1499, 0.0045, 0.1862)  1 N 1.04
H (0.1499, 0.4955, 0.6862)  1 N 1.04
H (0.1622, 0.6609, 0.0441)  1 N 1.03
H (0.1622, 0.8391, 0.5441)  1 N 1.03
H (0.1786, 0.5830, 0.9067)  1 N 1.03
H (0.1786, 0.9170, 0.4067)  1 N 1.03
H (0.2109, 0.5526, 0.4068)  1 N 1.03
H (0.2109, 0.9474, 0.9068)  1 N 1.03
H (0.2132, 0.1471, 0.0753)  1 N 1.04
H (0.2132, 0.3529, 0.5753)  1 N 1.04
H (0.2197, 0.7349, 0.2392)  1 O 0.99
H (0.2197, 0.7651, 0.7392)  1 O 0.99
H (0.2448, 0.1177, 0.9728)  1 N 1.03
H (0.2448, 0.3823, 0.4728)  1 N 1.03
H (0.2681, 0.5776, 0.6508)  1 N 1.03
H (0.2681, 0.9224, 0.1508)  1 N 1.03
H (0.2793, 0.6155, 0.5084)  1 N 1.03
H (0.2793, 0.8845, 0.0084)  1 N 1.03
H (0.3245, 0.0196, 0.6567)  1 N 1.03
H (0.3245, 0.4804, 0.1567)  1 N 1.03
H (0.3555, 0.0714, 0.5622)  1 N 1.03
H (0.3555, 0.4286, 0.0622)  1 N 1.03
H (0.3625, 0.0571, 0.0753)  1 N 1.03
H (0.3625, 0.4429, 0.5753)  1 N 1.03
H (0.3717, 0.5444, 0.0739)  1 N 1.03
H (0.3717, 0.9556, 0.5739)  1 N 1.03
H (0.4102, 0.7477, 0.8343)  1 O 0.98
H (0.4102, 0.7523, 0.3343)  1 O 0.98
H (0.5898, 0.2477, 0.6657)  1 O 0.98
H (0.5898, 0.2523, 0.1657)  1 O 0.98
H (0.6283, 0.0444, 0.4261)  1 N 1.03
H (0.6283, 0.4556, 0.9261)  1 N 1.03
H (0.6375, 0.5571, 0.4247)  1 N 1.03
H (0.6375, 0.9429, 0.9247)  1 N 1.03
H (0.6445, 0.5714, 0.9378)  1 N 1.03
H (0.6445, 0.9286, 0.4378)  1 N 1.03
H (0.6755, 0.5196, 0.8433)  1 N 1.03
H (0.6755, 0.9804, 0.3433)  1 N 1.03
H (0.7207, 0.1155, 0.9916)  1 N 1.03
H (0.7207, 0.3845, 0.4916)  1 N 1.03
H (0.7319, 0.0776, 0.8492)  1 N 1.03
H (0.7319, 0.4224, 0.3492)  1 N 1.03
H (0.7552, 0.6177, 0.5272)  1 N 1.03
H (0.7552, 0.8823, 0.0272)  1 N 1.03
H (0.7803, 0.2349, 0.2608)  1 O 0.99
H (0.7803, 0.2651, 0.7608)  1 O 0.99
H (0.7868, 0.6471, 0.4247)  1 N 1.04
H (0.7868, 0.8529, 0.9247)  1 N 1.04
H (0.7891, 0.0526, 0.0932)  1 N 1.03
H (0.7891, 0.4474, 0.5932)  1 N 1.03
H (0.8214, 0.0830, 0.5933)  1 N 1.03
H (0.8214, 0.4170, 0.0933)  1 N 1.03
H (0.8378, 0.1609, 0.4559)  1 N 1.03
H (0.8378, 0.3391, 0.9559)  1 N 1.03
H (0.8501, 0.5045, 0.3138)  1 N 1.04
H (0.8501, 0.9955, 0.8138)  1 N 1.04
H (0.8593, 0.5273, 0.1350)  1 N 1.04
H (0.8593, 0.9727, 0.6350)  1 N 1.04
H (0.9307, 0.1443, 0.0869)  1 N 1.04
H (0.9307, 0.3557, 0.5869)  1 N 1.04
H (0.9340, 0.6740, 0.9609)  1 N 1.04
H (0.9340, 0.8260, 0.4609)  1 N 1.04
H (0.9527, 0.5488, 0.8267)  1 N 1.03
H (0.9527, 0.9512, 0.3267)  1 N 1.03
H (0.9561, 0.1024, 0.8481)  1 N 1.03
H (0.9561, 0.3976, 0.3481)  1 N 1.03
H (0.9698, 0.6632, 0.0791)  1 N 1.03
H (0.9698, 0.8368, 0.5791)  1 N 1.03
I (0.2555, 0.2246, 0.2841)  3 O 1.83-1.84
I (0.2555, 0.2754, 0.7841)  3 O 1.83-1.84
I (0.7445, 0.7246, 0.2159)  3 O 1.83-1.84
I (0.7445, 0.7754, 0.7159)  3 O 1.83-1.84
N (0.0159, 0.6378, 0.0253)  3 H 1.03-1.04
N (0.0159, 0.8622, 0.5253)  3 H 1.03-1.04
N (0.0750, 0.5281, 0.8883)  3 H 1.03-1.04
N (0.0750, 0.9719, 0.3883)  3 H 1.03-1.04
N (0.1263, 0.5501, 0.6356)  3 H 1.03-1.04
N (0.1263, 0.9499, 0.1356)  3 H 1.03-1.04
N (0.1552, 0.5878, 0.4526)  3 H 1.03-1.04
N (0.1552, 0.9122, 0.9526)  3 H 1.03-1.04
N (0.2279, 0.0905, 0.0339)  3 H 1.03-1.04
N (0.2279, 0.4095, 0.5339)  3 H 1.03-1.04
N (0.2919, 0.0134, 0.5823)  3 H 1.03
N (0.2919, 0.4866, 0.0823)  3 H 1.03
N (0.7081, 0.5134, 0.9177)  3 H 1.03
N (0.7081, 0.9866, 0.4177)  3 H 1.03
N (0.7721, 0.5905, 0.4661)  3 H 1.03-1.04
N (0.7721, 0.9095, 0.9661)  3 H 1.03-1.04
N (0.8448, 0.0878, 0.0474)  3 H 1.03-1.04
N (0.8448, 0.4122, 0.5474)  3 H 1.03-1.04
N (0.8737, 0.0501, 0.8644)  3 H 1.03-1.04
N (0.8737, 0.4499, 0.3644)  3 H 1.03-1.04
N (0.9250, 0.0281, 0.6117)  3 H 1.03-1.04
N (0.9250, 0.4719, 0.1117)  3 H 1.03-1.04
N (0.9841, 0.1378, 0.4747)  3 H 1.03-1.04
N (0.9841, 0.3622, 0.9747)  3 H 1.03-1.04
Cl (0.3672, 0.0478, 0.8312)  5 H 2.34-2.56
Cl (0.3672, 0.4522, 0.3312)  5 H 2.34-2.56
Cl (0.4498, 0.6810, 0.9883)  5 H 2.31-2.52
Cl (0.4498, 0.8190, 0.4883)  5 H 2.31-2.52
Cl (0.5502, 0.1810, 0.5117)  5 H 2.31-2.52
Cl (0.5502, 0.3190, 0.0117)  5 H 2.31-2.52
Cl (0.6328, 0.5478, 0.6688)  5 H 2.34-2.56
Cl (0.6328, 0.9522, 0.1688)  5 H 2.34-2.56
O (0.0519, 0.2424, 0.8245)  2 H 1.83-2.00, 1 I 1.84
O (0.0519, 0.2576, 0.3245)  2 H 1.83-2.00, 1 I 1.84
O (0.1318, 0.2434, 0.1500)  1 I 1.84, 3 H 1.91-1.98
O (0.1318, 0.2566, 0.6500)  1 I 1.84, 3 H 1.91-1.98
O (0.2317, 0.0954, 0.2838)  1 I 1.83, 2 H 1.84
O (0.2317, 0.4046, 0.7838)  1 I 1.83, 2 H 1.84
O (0.3698, 0.7316, 0.2656)  2 H 0.98-0.99
O (0.3698, 0.7684, 0.7656)  2 H 0.98-0.99
O (0.6302, 0.2316, 0.2344)  2 H 0.98-0.99
O (0.6302, 0.2684, 0.7344)  2 H 0.98-0.99
O (0.7683, 0.5954, 0.2162)  1 I 1.83, 2 H 1.84
O (0.7683, 0.9046, 0.7162)  1 I 1.83, 2 H 1.84
O (0.8682, 0.7434, 0.3500)  1 I 1.84, 3 H 1.91-1.98
O (0.8682, 0.7566, 0.8500)  1 I 1.84, 3 H 1.91-1.98
O (0.9481, 0.7424, 0.6755)  2 H 1.83-2.00, 1 I 1.84
O (0.9481, 0.7576, 0.1755)  2 H 1.83-2.00, 1 I 1.84

***

# 3
The following is a PBE with a Hubbard U calculation of crystalline MgCoH16Cl4O8 at its relaxed geometry, from the Materials Project.

Results
Space group   P-1
ΔE_f   -1290 meV/atom
Calculated density   1.85 g/cm3

a = 6.3981 Å, b = 10.3393 Å, c = 10.7753 Å
α = 70.68°, β = 79.98°, γ = 86.28°
With the nearest neighbours (Å) after each atom.
Sites, in units of the cell vectors:
Mg (0.0000, 0.0000, 0.0000)  6 O 2.07-2.10
Mg (0.0000, 0.5000, 0.5000)  6 O 2.07-2.10
Co (0.5000, 0.0000, 0.5000)  2 O 2.07
Co (0.5000, 0.5000, 0.0000)  2 O 2.07
H (0.0365, 0.2409, 0.4685)  1 O 0.98
H (0.0376, 0.7411, 0.9684)  1 O 0.98
H (0.1121, 0.4199, 0.1391)  1 O 0.99
H (0.1118, 0.9189, 0.6397)  1 O 0.99
H (0.1739, 0.4645, 0.7268)  1 O 0.98
H (0.1750, 0.9649, 0.2264)  1 O 0.98
H (0.2036, 0.2336, 0.9746)  1 O 0.99
H (0.2046, 0.7337, 0.4745)  1 O 0.99
H (0.2227, 0.3331, 0.6820)  1 O 0.98
H (0.2227, 0.8332, 0.1821)  1 O 0.98
H (0.2733, 0.3079, 0.2079)  1 O 0.99
H (0.2736, 0.8063, 0.7071)  1 O 0.99
H (0.3429, 0.5303, 0.2989)  1 O 0.98
H (0.3436, 0.0317, 0.7988)  1 O 0.98
H (0.3924, 0.4130, 0.4294)  1 O 0.98
H (0.3928, 0.9133, 0.9287)  1 O 0.98
H (0.6072, 0.0867, 0.0713)  1 O 0.98
H (0.6076, 0.5870, 0.5706)  1 O 0.98
H (0.6564, 0.9683, 0.2012)  1 O 0.98
H (0.6571, 0.4697, 0.7011)  1 O 0.98
H (0.7264, 0.1937, 0.2929)  1 O 0.99
H (0.7267, 0.6921, 0.7921)  1 O 0.99
H (0.7773, 0.1668, 0.8179)  1 O 0.98
H (0.7773, 0.6669, 0.3180)  1 O 0.98
H (0.7954, 0.2663, 0.5255)  1 O 0.99
H (0.7964, 0.7664, 0.0254)  1 O 0.99
H (0.8250, 0.0351, 0.7736)  1 O 0.98
H (0.8261, 0.5355, 0.2732)  1 O 0.98
H (0.8882, 0.0811, 0.3603)  1 O 0.99
H (0.8879, 0.5801, 0.8609)  1 O 0.99
H (0.9624, 0.2589, 0.0316)  1 O 0.98
H (0.9635, 0.7591, 0.5315)  1 O 0.98
Cl (0.2278, 0.6020, 0.8505)  4 H 2.17-2.37
Cl (0.2286, 0.1029, 0.3501)  4 H 2.17-2.37
Cl (0.4676, 0.2007, 0.5797)  3 H 2.17-2.38
Cl (0.4693, 0.7014, 0.0785)  3 H 2.16-2.39
Cl (0.5307, 0.2986, 0.9215)  3 H 2.16-2.39
Cl (0.5324, 0.7993, 0.4203)  3 H 2.17-2.38
Cl (0.7714, 0.8971, 0.6499)  4 H 2.17-2.37
Cl (0.7722, 0.3980, 0.1495)  4 H 2.17-2.37
O (0.0598, 0.1938, 0.0022)  2 H 0.98-0.99
O (0.0608, 0.6937, 0.5025)  2 H 0.98-0.99
O (0.1243, 0.4107, 0.6778)  2 H 0.98
O (0.1246, 0.9109, 0.1778)  2 H 0.98
O (0.2612, 0.4057, 0.1540)  2 H 0.99
O (0.2615, 0.9041, 0.6533)  2 H 0.99
O (0.3078, 0.4964, 0.3964)  2 H 0.98
O (0.3075, 0.9965, 0.8962)  2 H 0.98
O (0.6925, 0.0035, 0.1038)  2 H 0.98
O (0.6922, 0.5036, 0.6036)  2 H 0.98
O (0.7385, 0.0959, 0.3467)  2 H 0.99
O (0.7388, 0.5943, 0.8460)  2 H 0.99
O (0.8754, 0.0891, 0.8222)  2 H 0.98
O (0.8757, 0.5893, 0.3222)  2 H 0.98
O (0.9392, 0.3063, 0.4975)  2 H 0.98-0.99
O (0.9402, 0.8062, 0.9978)  2 H 0.98-0.99